Entry from the Materials Project database: a relaxed Er3P6Pd20 crystal (GGA-PBE).

Cell: 8.675 8.675 8.675 Å, 60.00 60.00 60.00°
Sites, in units of the cell vectors:
Er 0.000 0.000 0.000
Er 0.250 0.250 0.250
Er 0.750 0.750 0.750
P 0.263 0.263 0.737
P 0.263 0.737 0.263
P 0.263 0.737 0.737
P 0.737 0.263 0.263
P 0.737 0.263 0.737
P 0.737 0.737 0.263
Pd 0.000 0.000 0.345
Pd 0.000 0.000 0.655
Pd 0.000 0.345 0.000
Pd 0.000 0.345 0.655
Pd 0.000 0.655 0.000
Pd 0.000 0.655 0.345
Pd 0.152 0.616 0.616
Pd 0.345 0.000 0.000
Pd 0.345 0.000 0.655
Pd 0.345 0.655 0.000
Pd 0.384 0.384 0.384
Pd 0.384 0.384 0.848
Pd 0.384 0.848 0.384
Pd 0.616 0.152 0.616
Pd 0.616 0.616 0.152
Pd 0.616 0.616 0.616
Pd 0.655 0.000 0.000
Pd 0.655 0.000 0.345
Pd 0.655 0.345 0.000
Pd 0.848 0.384 0.384

**Space group**: Fm-3m (225)
**DFT total energy**: -5.90 eV/atom


Entry from the Materials Project database: a relaxed Er2P7Rh12 crystal (GGA-PBE).

Cell: 9.611 9.611 3.862 Å, 90.00 90.00 120.00°
Sites, in units of the cell vectors:
Er 0.333 0.667 0.249
Er 0.667 0.333 0.751
P 0.000 0.000 0.000
P 0.119 0.406 0.746
P 0.287 0.881 0.746
P 0.406 0.287 0.254
P 0.594 0.713 0.746
P 0.713 0.119 0.254
P 0.881 0.594 0.254
Rh 0.070 0.618 0.749
Rh 0.112 0.850 0.249
Rh 0.150 0.262 0.249
Rh 0.262 0.112 0.751
Rh 0.382 0.452 0.749
Rh 0.452 0.070 0.251
Rh 0.548 0.930 0.749
Rh 0.618 0.548 0.251
Rh 0.738 0.888 0.249
Rh 0.850 0.738 0.751
Rh 0.888 0.150 0.751
Rh 0.930 0.382 0.251

**Space group**: P-3 (147)
**DFT total energy**: -7.37 eV/atom


Entry from the Materials Project database: a relaxed ErP2Ru2 crystal (GGA-PBE).

Cell: 4.053 4.053 9.501 Å, 90.00 90.00 90.00°
Sites, in units of the cell vectors:
Er 0.000 0.000 0.000
Er 0.500 0.500 0.500
P 0.000 0.000 0.376
P 0.000 0.000 0.624
P 0.500 0.500 0.124
P 0.500 0.500 0.876
Ru 0.000 0.500 0.250
Ru 0.000 0.500 0.750
Ru 0.500 0.000 0.250
Ru 0.500 0.000 0.750

**Space group**: I4/mmm (139)
**DFT total energy**: -7.82 eV/atom


Entry from the Materials Project database: a relaxed ErPS crystal (GGA-PBE).

Cell: 5.320 5.274 16.600 Å, 90.00 90.00 90.00°
Sites, in units of the cell vectors:
Er 0.015 0.250 0.146
Er 0.016 0.750 0.363
Er 0.484 0.250 0.863
Er 0.485 0.750 0.646
Er 0.515 0.250 0.354
Er 0.516 0.750 0.137
Er 0.984 0.250 0.637
Er 0.985 0.750 0.854
P 0.207 0.534 0.997
P 0.207 0.966 0.997
P 0.293 0.034 0.497
P 0.293 0.466 0.497
P 0.707 0.534 0.503
P 0.707 0.966 0.503
P 0.793 0.034 0.003
P 0.793 0.466 0.003
S 0.012 0.250 0.316
S 0.015 0.750 0.189
S 0.485 0.250 0.689
S 0.488 0.750 0.816
S 0.512 0.250 0.184
S 0.515 0.750 0.311
S 0.985 0.250 0.811
S 0.988 0.750 0.684

**Space group**: Pnma (62)
**DFT total energy**: -6.25 eV/atom


Entry from the Materials Project database: a relaxed ErTl2P2Se7 crystal (GGA-PBE).

Cell: 12.533 12.533 19.204 Å, 118.86 118.86 32.87°
Sites, in units of the cell vectors:
Er 0.108 0.208 0.238
Er 0.208 0.108 0.738
Er 0.792 0.892 0.262
Er 0.892 0.792 0.762
Tl 0.163 0.191 0.019
Tl 0.191 0.163 0.519
Tl 0.461 0.522 0.122
Tl 0.478 0.539 0.378
Tl 0.522 0.461 0.622
Tl 0.539 0.478 0.878
Tl 0.809 0.837 0.481
Tl 0.837 0.809 0.981
P 0.017 0.077 0.309
P 0.077 0.017 0.809
P 0.320 0.343 0.361
P 0.343 0.320 0.861
P 0.657 0.680 0.139
P 0.680 0.657 0.639
P 0.923 0.983 0.191
P 0.983 0.923 0.691
Se 0.008 0.952 0.598
Se 0.048 0.992 0.902
Se 0.113 0.681 0.194
Se 0.126 0.662 0.393
Se 0.168 0.631 0.914
Se 0.187 0.615 0.693
Se 0.219 0.330 0.729
Se 0.236 0.289 0.405
Se 0.289 0.236 0.905
Se 0.319 0.887 0.306
Se 0.330 0.219 0.229
Se 0.338 0.874 0.107
Se 0.369 0.832 0.586
Se 0.385 0.813 0.807
Se 0.615 0.187 0.193
Se 0.631 0.168 0.414
Se 0.662 0.126 0.893
Se 0.670 0.781 0.771
Se 0.681 0.113 0.694
Se 0.711 0.764 0.095
Se 0.764 0.711 0.595
Se 0.781 0.670 0.271
Se 0.813 0.385 0.307
Se 0.832 0.369 0.086
Se 0.874 0.338 0.607
Se 0.887 0.319 0.806
Se 0.952 0.008 0.098
Se 0.992 0.048 0.402

**Space group**: C2/c (15)
**DFT total energy**: -4.29 eV/atom


Entry from the Materials Project database: a relaxed ErPaRu2 crystal (GGA-PBE).

Cell: 6.830 6.830 6.830 Å, 90.00 90.00 90.00°
Sites, in units of the cell vectors:
Er 0.000 0.000 0.000
Er 0.000 0.500 0.500
Er 0.500 0.000 0.500
Er 0.500 0.500 0.000
Pa 0.000 0.000 0.500
Pa 0.000 0.500 0.000
Pa 0.500 0.000 0.000
Pa 0.500 0.500 0.500
Ru 0.250 0.250 0.250
Ru 0.250 0.250 0.750
Ru 0.250 0.750 0.250
Ru 0.250 0.750 0.750
Ru 0.750 0.250 0.250
Ru 0.750 0.250 0.750
Ru 0.750 0.750 0.250
Ru 0.750 0.750 0.750

**Space group**: Fm-3m (225)
**DFT total energy**: -8.60 eV/atom